Entry 1:
VASP calculation (PBE+U) on a relaxed BaMn2P2O9 crystal.

The structure in CIF format:
```
data_BaMn2P2O9
_space_group_name_H-M_alt 'C 1 2 1'
_space_group_IT_number 5
_space_group_name_Hall 'C 2y'
_cell_length_a 9.149
_cell_length_b 5.087
_cell_length_c 8.399
_cell_angle_alpha 90.00
_cell_angle_beta 97.19
_cell_angle_gamma 90.00
loop_
_atom_site_label
_atom_site_type_symbol
_atom_site_fract_x
_atom_site_fract_y
_atom_site_fract_z
Ba1 Ba 0.000 0.000 0.000
Mn1 Mn 0.144 0.532 0.632
P1 P 0.167 0.494 0.262
O1 O 0.000 0.716 0.500
O2 O 0.001 0.462 0.799
O3 O 0.201 0.372 0.434
O4 O 0.207 0.789 0.248
O5 O 0.241 0.821 0.839
```



Entry 2:
VASP calculation (PBE+U) on a relaxed BaPrMn2O5 crystal.

The structure in CIF format:
```
data_BaPrMn2O5
_space_group_name_H-M_alt 'P 4/m m m'
_space_group_IT_number 123
_space_group_name_Hall '-P 4 2'
_cell_length_a 4.036
_cell_length_b 4.036
_cell_length_c 7.942
_cell_angle_alpha 90.00
_cell_angle_beta 90.00
_cell_angle_gamma 90.00
loop_
_atom_site_label
_atom_site_type_symbol
_atom_site_fract_x
_atom_site_fract_y
_atom_site_fract_z
Ba1 Ba 0.000 0.000 0.000
Pr1 Pr 0.000 0.000 0.500
Mn1 Mn 0.500 0.500 0.259
O1 O 0.000 0.500 0.309
O2 O 0.500 0.500 0.000
```



Entry 3:
VASP calculation (PBE+U) on a relaxed BaPrMn2O6 crystal.

The structure in CIF format:
```
data_BaPrMn2O6
_space_group_name_H-M_alt 'P 4/m m m'
_space_group_IT_number 123
_space_group_name_Hall '-P 4 2'
_cell_length_a 3.954
_cell_length_b 3.954
_cell_length_c 7.913
_cell_angle_alpha 90.00
_cell_angle_beta 90.00
_cell_angle_gamma 90.00
loop_
_atom_site_label
_atom_site_type_symbol
_atom_site_fract_x
_atom_site_fract_y
_atom_site_fract_z
Ba1 Ba 0.000 0.000 0.000
Pr1 Pr 0.000 0.000 0.500
Mn1 Mn 0.500 0.500 0.253
O1 O 0.000 0.500 0.273
O2 O 0.500 0.500 0.000
O3 O 0.500 0.500 0.500
```



Entry 4:
VASP calculation (PBE+U) on a relaxed Ba3Mn4PtO12 crystal.

The structure in CIF format:
```
data_Ba3Mn4PtO12
_space_group_name_H-M_alt 'P 1 m 1'
_space_group_IT_number 6
_space_group_name_Hall 'P -2y'
_cell_length_a 5.154
_cell_length_b 5.974
_cell_length_c 10.291
_cell_angle_alpha 90.00
_cell_angle_beta 90.35
_cell_angle_gamma 90.00
loop_
_atom_site_label
_atom_site_type_symbol
_atom_site_fract_x
_atom_site_fract_y
_atom_site_fract_z
Ba1 Ba 0.000 0.000 0.000
Ba2 Ba 0.039 0.500 0.493
Ba3 Ba 0.493 0.500 0.164
Mn1 Mn 0.123 0.500 0.838
Mn2 Mn 0.139 0.000 0.322
Mn3 Mn 0.603 0.500 0.833
Mn4 Mn 0.630 0.000 0.326
Pt1 Pt 0.845 0.000 0.665
O1 O 0.355 0.500 0.697
O2 O 0.361 0.292 0.915
O3 O 0.381 0.218 0.387
O4 O 0.384 0.000 0.178
O5 O 0.860 0.290 0.755
O6 O 0.861 0.500 0.972
O7 O 0.882 0.000 0.475
O8 O 0.882 0.214 0.260
```



Asked for calculated total energy across the records above, the calculation gives -7.3770, -7.5231, -7.4142, -6.6864 eV/atom in order.
Asked for calculated formation energy across the records above, the calculation gives -2.66, -2.75, -2.69, -2.04 eV/atom in order.